[1]
Compound: Cu3P8S6Cl3
Source: Materials Project
Functional: PBE
Structure: optimized geometry

Geometry as POSCAR:
```
Cu3P8S6Cl3
1.0
6.3549 0.0000 0.0000
0.0000 26.5605 0.0000
0.0000 0.0000 11.6093
Cu P S Cl
12 32 24 12
Direct
0.1908 0.2500 0.1428
0.2288 0.0021 0.3551
0.2288 0.4979 0.3551
0.2712 0.5021 0.8551
0.2712 0.9979 0.8551
0.3092 0.7500 0.6428
0.6908 0.2500 0.3572
0.7288 0.0021 0.1449
0.7288 0.4979 0.1449
0.7712 0.5021 0.6449
0.7712 0.9979 0.6449
0.8092 0.7500 0.8572
0.0902 0.1792 0.0523
0.0902 0.3208 0.0523
0.1398 0.0693 0.9318
0.1398 0.4307 0.9318
0.1409 0.5702 0.9512
0.1409 0.9298 0.9512
0.1629 0.6059 0.1301
0.1629 0.8941 0.1301
0.3371 0.1059 0.6301
0.3371 0.3941 0.6301
0.3591 0.0702 0.4512
0.3591 0.4298 0.4512
0.3602 0.5693 0.4318
0.3602 0.9307 0.4318
0.4098 0.6792 0.5523
0.4098 0.8208 0.5523
0.5902 0.1792 0.4477
0.5902 0.3208 0.4477
0.6398 0.0693 0.5682
0.6398 0.4307 0.5682
0.6409 0.5702 0.5488
0.6409 0.9298 0.5488
0.6629 0.6059 0.3699
0.6629 0.8941 0.3699
0.8371 0.1059 0.8699
0.8371 0.3941 0.8699
0.8591 0.0702 0.0488
0.8591 0.4298 0.0488
0.8602 0.5693 0.0682
0.8602 0.9307 0.0682
0.9098 0.6792 0.9477
0.9098 0.8208 0.9477
0.0835 0.6304 0.8400
0.0835 0.8696 0.8400
0.1088 0.6822 0.0948
0.1088 0.8178 0.0948
0.1743 0.6294 0.4899
0.1743 0.8706 0.4899
0.3257 0.1294 0.9899
0.3257 0.3706 0.9899
0.3912 0.1822 0.5948
0.3912 0.3178 0.5948
0.4165 0.1304 0.3400
0.4165 0.3696 0.3400
0.5835 0.6304 0.6600
0.5835 0.8696 0.6600
0.6088 0.6822 0.4052
0.6088 0.8178 0.4052
0.6743 0.6294 0.0101
0.6743 0.8706 0.0101
0.8257 0.1294 0.5101
0.8257 0.3706 0.5101
0.8912 0.1822 0.9052
0.8912 0.3178 0.9052
0.9165 0.1304 0.1600
0.9165 0.3696 0.1600
0.0515 0.2500 0.3288
0.1310 0.5081 0.6684
0.1310 0.9919 0.6684
0.3690 0.0081 0.1684
0.3690 0.4919 0.1684
0.4485 0.7500 0.8288
0.5515 0.2500 0.1712
0.6310 0.5081 0.8316
0.6310 0.9919 0.8316
0.8690 0.0081 0.3316
0.8690 0.4919 0.3316
0.9485 0.7500 0.6712
```

Results
The calculated total energy is -4.602 eV/atom. The calculated volume is 24.494 Å³ per atom. The formation energy is -10.9 eV per formula unit.

=====

[2]
Compound: Cu7P12S9Cl7
Source: Materials Project
Functional: PBE
Structure: optimized geometry

Geometry as POSCAR:
```
Cu7P12S9Cl7
1.0
16.7704 0.0000 0.0000
-8.3852 14.5236 0.0000
0.0000 0.0000 6.2889
Cu P S Cl
14 24 18 14
Direct
0.0793 0.1586 0.0000
0.0793 0.9207 0.0000
0.0883 0.5441 0.5120
0.1586 0.0793 0.5000
0.3333 0.6667 0.9513
0.4559 0.5441 0.5120
0.4559 0.9117 0.5120
0.5441 0.0883 0.0120
0.5441 0.4559 0.0120
0.6667 0.3333 0.4513
0.8414 0.9207 0.0000
0.9117 0.4559 0.0120
0.9207 0.0793 0.5000
0.9207 0.8414 0.5000
0.1496 0.2991 0.1176
0.1496 0.8504 0.1176
0.1682 0.4759 0.3826
0.1682 0.6923 0.3826
0.2607 0.5215 0.0933
0.2607 0.7393 0.0933
0.2991 0.1496 0.6176
0.3077 0.4759 0.3826
0.3077 0.8318 0.3826
0.4759 0.1682 0.8826
0.4759 0.3077 0.8826
0.4785 0.7393 0.0933
0.5215 0.2607 0.5933
0.5241 0.6923 0.3826
0.5241 0.8318 0.3826
0.6923 0.1682 0.8826
0.6923 0.5241 0.8826
0.7009 0.8504 0.1176
0.7393 0.2607 0.5933
0.7393 0.4785 0.5933
0.8318 0.3077 0.8826
0.8318 0.5241 0.8826
0.8504 0.1496 0.6176
0.8504 0.7009 0.6176
0.0718 0.3391 0.3096
0.0718 0.7327 0.3096
0.2037 0.4075 0.8913
0.2037 0.7963 0.8913
0.2673 0.3391 0.3096
0.2673 0.9282 0.3096
0.3391 0.0718 0.8096
0.3391 0.2673 0.8096
0.4075 0.2037 0.3913
0.5925 0.7963 0.8913
0.6609 0.7327 0.3096
0.6609 0.9282 0.3096
0.7327 0.0718 0.8096
0.7327 0.6609 0.8096
0.7963 0.2037 0.3913
0.7963 0.5925 0.3913
0.9282 0.2673 0.8096
0.9282 0.6609 0.8096
0.0606 0.5303 0.8732
0.0734 0.1468 0.6271
0.0734 0.9266 0.6271
0.1468 0.0734 0.1271
0.3333 0.6667 0.5892
0.4697 0.5303 0.8732
0.4697 0.9394 0.8732
0.5303 0.0606 0.3732
0.5303 0.4697 0.3732
0.6667 0.3333 0.0892
0.8532 0.9266 0.6271
0.9266 0.0734 0.1271
0.9266 0.8532 0.1271
0.9394 0.4697 0.3732
```

Results
The calculated total energy is -4.435 eV/atom. The calculated volume is 21.883 Å³ per atom. The formation energy is -20.2 eV per formula unit.

=====

[3]
Compound: CuPb2S2Cl2
Source: Materials Project
Functional: PBE
Structure: optimized geometry

Geometry as POSCAR:
```
CuPb2S2Cl2
1.0
-2.2500 2.2500 8.1010
2.2500 -2.2500 8.1010
2.2500 2.2500 -8.1010
Cu Pb S Cl
1 2 2 2
Direct
0.0000 0.0000 0.0000
0.3366 0.3366 0.0000
0.6634 0.6634 0.0000
0.1686 0.1686 0.0000
0.8314 0.8314 0.0000
0.0000 0.5000 0.5000
0.5000 0.0000 0.5000
```

Results
The calculated total energy is -3.801 eV/atom. The calculated volume is 23.436 Å³ per atom. The formation energy is -5.3 eV per formula unit.

=====

[4]
Compound: Rb2PrCuCl6
Source: Materials Project
Functional: PBE
Structure: optimized geometry

Geometry as POSCAR:
```
Rb2PrCuCl6
1.0
0.0000 5.3026 5.3026
5.3026 0.0000 5.3026
5.3026 5.3026 0.0000
Rb Pr Cu Cl
2 1 1 6
Direct
0.2500 0.2500 0.2500
0.7500 0.7500 0.7500
0.0000 0.0000 0.0000
0.5000 0.5000 0.5000
0.2592 0.2592 0.7408
0.2592 0.7408 0.2592
0.2592 0.7408 0.7408
0.7408 0.2592 0.2592
0.7408 0.2592 0.7408
0.7408 0.7408 0.2592
```

Results
The calculated total energy is -3.934 eV/atom. The calculated volume is 29.819 Å³ per atom. The formation energy is -21.1 eV per formula unit.

=====

- What is the formula in the first record?
  Cu3P8S6Cl3

=====

- The highest calculated total energy belongs to which entry?
  CuPb2S2Cl2